94
Lattice="5.585 5.893 -6.184 -8.951 -3.713 -3.201 -6.915 12.107 5.291" Properties=species:S:1:pos:R:3 comment="BaNb7P6O33 PBE-GGA optimized geometry" dft_energy_ev_per_atom=-8.20 crystal_system=trigonal e_form_ev_per_atom=-2.972 pbc="T T T"
Ba -5.186 9.080 3.968
Ba -1.729 3.027 1.323
Nb -6.818 7.338 0.464
Nb -0.570 3.129 -2.755
Nb -5.834 2.515 -2.873
Nb -1.454 4.121 -6.179
Nb -0.210 8.455 -3.755
Nb -8.827 10.165 2.085
Nb -8.343 7.906 -2.830
Nb 1.701 5.272 -4.690
Nb -9.711 11.157 -1.340
Nb -4.446 11.771 -1.221
Nb -1.938 6.379 -1.264
Nb -10.070 5.831 -0.339
Nb -3.463 6.947 -4.558
Nb -11.982 9.014 0.596
P -5.930 12.064 1.888
P -3.068 0.984 -1.473
P -3.020 14.888 -0.771
P -4.351 2.222 -5.982
P -4.711 4.531 -0.298
P -7.213 13.302 -2.621
P -3.664 8.928 0.586
P -5.570 9.755 -3.796
P -6.617 5.357 -4.680
P -1.282 11.687 -2.613
P -8.998 2.599 -1.481
P -7.261 -0.602 -3.323
O 0.323 4.748 -5.988
O -4.587 2.411 -4.445
O -5.155 8.558 0.765
O -5.713 2.321 -6.709
O -5.230 10.325 -2.377
O 2.569 6.669 -6.129
O -4.568 11.965 2.615
O -2.844 15.095 -2.294
O -7.686 14.556 -1.896
O -4.901 3.407 0.747
O 1.743 8.922 -2.896
O -9.440 3.968 -0.977
O -9.047 9.458 -1.942
O -5.694 11.875 0.351
O -12.024 5.364 -1.198
O -7.060 9.355 -3.843
O -6.799 10.905 2.419
O -3.221 4.931 -0.251
O -0.804 7.676 -2.053
O -3.574 10.302 -0.162
O 0.283 3.011 -0.747
O -12.850 7.617 2.035
O -3.482 3.381 -6.513
O -5.380 10.879 -4.841
O -5.051 3.961 -1.717
O -7.369 6.427 -3.897
O -3.825 7.390 -6.666
O -3.598 13.454 -0.522
O -11.323 10.251 -0.678
O -2.595 -0.270 -2.198
O -3.249 6.568 -2.714
O -5.746 12.957 -2.193
O -9.477 6.610 -2.041
O -7.032 7.717 -1.380
O -9.668 2.247 -2.830
O -10.893 7.511 0.101
O -10.604 9.538 1.894
O -6.333 -1.650 -3.926
O -8.936 11.149 0.389
O -2.912 7.859 -0.197
O -7.935 8.738 1.159
O -0.613 12.039 -1.264
O -10.564 11.275 -3.347
O -1.345 3.137 -4.483
O -7.437 -0.809 -1.800
O -1.902 8.139 -4.547
O -6.683 0.832 -3.572
O -6.608 13.403 2.151
O -6.707 3.984 -3.932
O -5.596 5.734 0.007
O -4.685 8.552 -4.101
O -3.673 0.882 -6.245
O -8.379 6.147 0.453
O -7.444 2.574 -1.669
O 0.612 6.775 -4.195
O -8.119 12.088 -2.309
O -5.126 5.728 -4.859
O -2.837 11.712 -2.425
O -2.162 2.198 -1.785
O -2.345 5.548 -5.253
O 1.043 4.035 -3.416
O -3.948 15.936 -0.168
O -4.535 1.329 -1.901
O -1.233 4.828 -2.152
O -0.841 10.318 -3.117
O -6.456 6.896 2.572

50
Lattice="-1.600 2.308 -8.340 -4.961 6.179 7.247 8.593 4.872 4.323" Properties=species:S:1:pos:R:3 comment="Ba10Pr5NbSn4O30 PBE-GGA optimized geometry" dft_energy_ev_per_atom=-6.86 crystal_system=triclinic e_form_ev_per_atom=-2.916 pbc="T T T"
Ba -0.401 0.581 -2.077
Ba 3.547 8.340 -0.716
Ba 2.433 12.777 5.307
Ba 0.458 8.928 4.639
Ba 4.343 7.181 3.417
Ba 2.365 3.291 2.748
Ba -0.333 10.068 0.482
Ba -2.311 6.178 -0.188
Ba 1.574 4.431 -1.409
Ba -1.515 5.018 3.945
Pr -1.745 3.957 -3.232
Pr 3.777 9.402 6.461
Pr 4.084 6.114 -3.756
Pr 1.016 6.679 1.615
Pr -2.051 7.245 6.985
Nb 1.816 5.525 5.785
Sn -0.947 2.802 0.939
Sn 2.980 10.557 2.291
Sn 4.881 4.955 0.417
Sn -2.849 8.404 2.812
O -3.965 6.700 2.361
O 6.510 5.980 4.812
O -2.718 3.835 1.358
O -2.426 4.489 -5.410
O 4.459 8.870 8.640
O 4.750 9.524 1.871
O 1.857 8.851 1.835
O 1.210 11.585 2.713
O 3.103 9.916 4.277
O 4.748 5.581 -1.574
O 1.675 10.087 7.240
O 5.997 6.659 0.869
O 3.757 3.247 -0.040
O 3.108 5.987 0.832
O 4.992 4.321 2.406
O 1.705 6.132 3.863
O 1.917 6.826 -2.958
O 2.905 7.164 6.229
O -0.873 6.195 -3.000
O 0.115 6.532 6.188
O 0.328 7.226 -0.633
O -2.960 9.038 0.823
O -1.076 7.371 2.398
O -1.725 10.112 3.269
O 0.357 3.272 -4.010
O -2.716 7.778 4.803
O -1.071 3.443 -1.047
O 0.822 1.774 0.517
O 0.175 4.508 1.394
O -4.478 7.379 -1.583

50
Lattice="-6.198 6.169 0.013 -3.098 -9.251 -4.348 0.002 -6.169 8.712" Properties=species:S:1:pos:R:3 comment="Ba10Pr5Nb4SnO30 PBE-GGA optimized geometry" dft_energy_ev_per_atom=-7.55 crystal_system=triclinic e_form_ev_per_atom=-3.244 pbc="T T T"
Ba -6.184 -3.086 -2.165
Ba -6.186 -3.063 6.535
Ba -3.066 -6.167 2.192
Ba -3.102 0.004 2.199
Ba -3.082 -12.358 2.173
Ba -6.212 -3.061 2.205
Ba -6.208 3.063 2.202
Ba -3.093 -6.172 6.526
Ba -6.228 -9.253 2.186
Ba -3.112 -6.165 -2.170
Pr -6.193 0.004 0.007
Pr -0.004 -0.003 0.006
Pr -3.098 -3.084 4.362
Pr -6.193 -6.165 0.021
Pr -3.100 -9.255 4.356
Nb -3.098 -3.083 0.007
Nb -6.198 -6.168 4.372
Nb -3.096 -9.252 0.005
Nb -6.197 -6.167 -4.341
Sn -6.197 0.000 4.369
O -7.624 -4.749 4.127
O -1.464 -4.703 4.109
O -4.519 -1.660 -0.248
O -4.513 -1.655 8.490
O -4.508 -7.817 -0.241
O -4.782 -4.743 4.616
O -7.826 -7.783 0.262
O -1.682 -1.660 0.252
O -4.777 -10.910 4.621
O -7.873 -1.653 0.254
O -4.786 -7.602 4.618
O -4.731 -1.466 4.616
O -1.682 -4.513 0.235
O -4.776 -7.591 -4.087
O -7.868 -4.502 0.263
O -7.619 -7.597 4.136
O -1.467 -7.637 4.115
O -4.516 -4.510 -0.244
O -4.516 1.661 -0.238
O -4.512 -10.677 -0.239
O -5.864 0.002 2.302
O -2.768 -3.092 -1.998
O -5.856 -6.168 2.372
O -2.754 -9.251 -1.990
O -2.758 -3.078 6.722
O -6.530 -0.001 6.436
O -3.437 -3.090 2.003
O -6.540 -6.169 6.367
O -3.437 -9.252 2.005
O -6.527 -6.158 -2.336

104
Lattice="7.950 0.000 0.000 0.000 14.523 0.000 0.000 0.000 24.580" Properties=species:S:1:pos:R:3 comment="Ba6Nb4S13O3 PBE-GGA optimized geometry" dft_energy_ev_per_atom=-6.42 crystal_system=orthorhombic e_form_ev_per_atom=-2.119 pbc="T T T"
Ba 4.826 3.631 11.050
Ba 6.056 10.892 20.734
Ba 3.205 13.326 17.827
Ba 7.180 6.065 19.043
Ba 4.745 1.197 6.753
Ba 6.099 14.292 14.324
Ba 6.099 7.492 14.324
Ba 2.081 3.631 16.136
Ba 3.124 10.892 13.530
Ba 5.869 10.892 8.444
Ba 1.851 0.231 10.257
Ba 0.770 8.458 5.537
Ba 5.826 14.292 2.033
Ba 0.851 10.892 1.240
Ba 2.124 7.031 22.547
Ba 1.894 3.631 3.846
Ba 0.770 13.326 5.537
Ba 7.180 1.197 19.043
Ba 3.205 8.458 17.827
Ba 1.851 7.031 10.257
Ba 7.099 3.631 23.340
Ba 2.124 0.231 22.547
Ba 5.826 7.492 2.033
Ba 4.745 6.065 6.753
Nb 6.235 7.205 22.521
Nb 0.819 3.631 8.110
Nb 5.735 3.631 4.031
Nb 1.715 14.467 2.059
Nb 4.794 10.892 4.181
Nb 7.131 10.892 16.471
Nb 3.156 3.631 20.400
Nb 1.760 10.892 8.259
Nb 2.260 14.467 14.350
Nb 1.715 7.318 2.059
Nb 6.235 0.056 22.521
Nb 5.690 7.205 10.231
Nb 5.690 0.056 10.231
Nb 6.191 3.631 16.322
Nb 2.216 10.892 20.549
Nb 2.260 7.318 14.350
S 0.964 0.599 16.154
S 0.814 10.892 10.306
S 3.025 8.974 7.890
S 4.939 13.924 20.717
S 5.612 10.892 2.060
S 3.003 8.584 0.668
S 0.750 5.573 0.932
S 3.003 13.200 0.668
S 4.725 8.949 11.358
S 7.000 5.549 4.400
S 3.025 12.811 7.890
S 3.225 1.688 13.222
S 6.459 3.631 8.151
S 2.338 3.631 22.521
S 6.978 5.939 11.622
S 2.365 1.747 19.358
S 0.964 6.662 16.154
S 1.610 1.747 7.068
S 0.950 12.811 20.180
S 4.947 5.939 23.913
S 4.925 5.549 16.690
S 1.637 3.631 10.231
S 1.491 10.892 16.429
S 0.950 8.974 20.180
S 3.161 10.892 22.596
S 7.200 8.949 23.649
S 7.136 3.631 14.274
S 5.585 9.009 5.222
S 0.972 8.584 12.958
S 0.972 13.200 12.958
S 3.011 6.662 3.864
S 6.978 1.323 11.622
S 7.000 1.712 4.400
S 6.313 10.892 14.350
S 7.200 12.835 23.649
S 4.725 12.835 11.358
S 5.466 3.631 20.441
S 0.750 1.688 0.932
S 1.610 5.514 7.068
S 3.225 5.573 13.222
S 3.011 0.599 3.864
S 6.340 9.009 17.512
S 4.925 1.712 16.690
S 4.789 3.631 1.984
S 4.947 1.323 23.913
S 6.986 7.861 8.426
S 5.585 12.776 5.222
S 2.484 10.892 4.139
S 2.365 5.514 19.358
S 6.986 13.924 8.426
S 4.939 7.861 20.717
S 6.340 12.776 17.512
O 4.351 3.631 5.264
O 3.593 8.442 14.977
O 3.599 10.892 19.316
O 3.593 13.342 14.977
O 4.357 6.081 9.604
O 0.382 8.442 2.687
O 7.568 1.181 21.894
O 0.376 10.892 7.026
O 7.568 6.081 21.894
O 0.382 13.342 2.687
O 7.575 3.631 17.554
O 4.357 1.181 9.604

10
Lattice="0.000 4.167 4.167 4.167 0.000 4.167 4.167 4.167 0.000" Properties=species:S:1:pos:R:3 comment="Ba2ScNbO6 PBE-GGA optimized geometry" dft_energy_ev_per_atom=-8.06 crystal_system=cubic e_form_ev_per_atom=-3.477 pbc="T T T"
Ba 2.084 2.084 2.084
Ba 6.251 6.251 6.251
Sc 4.167 4.167 4.167
Nb 0.000 0.000 0.000
O 2.031 4.167 4.167
O 6.303 4.167 4.167
O 4.167 2.031 4.167
O 4.167 6.303 4.167
O 4.167 4.167 2.031
O 4.167 4.167 6.303

62
Lattice="-4.623 3.131 5.537 3.127 -7.136 1.063 11.779 6.112 6.379" Properties=species:S:1:pos:R:3 comment="BaNb10SiO19 PBE-GGA optimized geometry" dft_energy_ev_per_atom=-8.98 crystal_system=hexagonal e_form_ev_per_atom=-2.872 pbc="T T T"
Ba 4.944 3.332 7.827
Ba 1.638 -3.146 3.147
Nb 5.847 0.826 5.401
Nb 1.876 1.741 6.166
Nb 3.563 -0.839 5.742
Nb 6.045 -1.382 7.153
Nb 8.426 2.640 4.799
Nb 7.423 4.162 10.815
Nb 7.405 -1.418 4.676
Nb 1.555 0.486 2.559
Nb 5.090 -3.119 5.108
Nb 7.287 6.313 9.004
Nb 8.814 4.034 8.370
Nb -1.598 3.290 5.695
Nb 10.126 6.545 9.014
Nb 10.349 1.374 7.864
Nb 4.954 -0.968 3.297
Nb 10.323 4.336 10.766
Nb 10.078 -2.118 6.308
Nb 6.925 0.686 9.444
Nb 0.054 -1.468 7.203
Nb 8.766 6.580 11.491
Si 10.478 5.437 5.675
Si 4.589 2.381 2.485
O 3.253 1.688 1.761
O 8.986 2.992 11.782
O 5.810 5.161 9.920
O 4.032 -1.096 7.854
O 4.545 -3.015 3.098
O 7.407 2.763 9.269
O 6.320 0.684 7.417
O 2.519 3.713 6.067
O 7.140 7.719 10.662
O 10.411 2.938 9.230
O 11.770 0.473 9.081
O -1.521 -0.576 6.110
O 6.511 2.988 5.476
O 8.946 0.455 8.945
O 1.742 -1.082 1.189
O 7.821 0.616 4.711
O 2.948 -0.618 3.749
O 7.274 5.012 7.359
O 2.327 1.867 8.189
O -0.020 -0.644 3.404
O 9.142 4.744 4.951
O 4.987 1.345 9.865
O 1.622 1.800 4.188
O 1.494 -0.209 6.350
O 3.555 5.779 8.261
O 0.218 -2.725 5.578
O -1.718 1.829 4.170
O 8.018 -1.789 6.651
O 0.027 2.341 6.614
O 3.081 -2.867 5.659
O 10.541 -0.086 6.518
O 10.239 5.272 7.284
O 9.074 2.464 6.783
O 11.962 2.319 6.959
O 3.174 -5.516 2.793
O 7.131 -3.542 4.476
O 5.284 1.185 3.356
O 3.878 1.248 5.918